[1]
# ZnCuSi2O6 (PBE-GGA, optimized geometry)
# - E (MP2020) (eV/atom) = -7.015
# - excess energy over the best structure of this formula in the dataset (eV per atom) = 0.000
data_ZnCuSi2O6
_cell_length_a 10.055
_cell_length_b 9.459
_cell_length_c 5.294
_cell_angle_alpha 90.00
_cell_angle_beta 112.57
_cell_angle_gamma 90.00
_symmetry_space_group_name_H-M 'C 1 2/c 1'
_symmetry_Int_Tables_number 15
_symmetry_space_group_name_Hall '-C 2yc'
loop_
_atom_site_label
_atom_site_fract_x
_atom_site_fract_y
_atom_site_fract_z
Zn1 0.000 0.238 0.250
Cu1 0.000 0.108 0.750
Si1 0.203 0.414 0.746
O1 0.119 0.093 0.131
O2 0.123 0.266 0.627
O3 0.155 0.470 0.993

[2]
# NbSI (PBE-GGA, optimized geometry)
# - E (MP2020) (eV/atom) = -6.392
data_NbSI
_cell_length_a 10.838
_cell_length_b 10.838
_cell_length_c 10.838
_cell_angle_alpha 90.00
_cell_angle_beta 90.00
_cell_angle_gamma 90.00
_symmetry_space_group_name_H-M 'F -4 3 m'
_symmetry_Int_Tables_number 216
_symmetry_space_group_name_Hall 'F -4 2 3'
loop_
_atom_site_label
_atom_site_fract_x
_atom_site_fract_y
_atom_site_fract_z
Nb1 0.097 0.097 0.403
S1 0.124 0.124 0.624
I1 0.126 0.126 0.126

[3]
# Ba18In8S21F18 (PBE-GGA, optimized geometry)
# - E (MP2020) (eV/atom) = -5.407
data_Ba18In8S21F18
_cell_length_a 22.461
_cell_length_b 22.461
_cell_length_c 12.889
_cell_angle_alpha 90.00
_cell_angle_beta 90.00
_cell_angle_gamma 90.00
_symmetry_space_group_name_H-M 'P 42/n c m'
_symmetry_Int_Tables_number 138
loop_
_symmetry_equiv_pos_as_xyz
'x,y,z'
'-x,-y,-z'
'-y+1/2,x,z+1/2'
'y+1/2,-x,-z+1/2'
'-x+1/2,-y+1/2,z'
'x+1/2,y+1/2,-z'
'y,-x+1/2,z+1/2'
'-y,x+1/2,-z+1/2'
'x+1/2,-y,-z+1/2'
'-x+1/2,y,z+1/2'
'-y,-x,-z'
'y,x,z'
'-x,y+1/2,-z+1/2'
'x,-y+1/2,z+1/2'
'y+1/2,x+1/2,-z'
'-y+1/2,-x+1/2,z'
loop_
_atom_site_label
_atom_site_fract_x
_atom_site_fract_y
_atom_site_fract_z
Ba1 0.000 0.000 0.000
Ba2 0.040 0.250 0.120
Ba3 0.054 0.647 0.124
Ba4 0.056 0.656 0.632
Ba5 0.151 0.750 0.376
Ba6 0.250 0.250 0.201
In1 0.075 0.075 0.666
In2 0.082 0.082 0.188
In3 0.159 0.159 0.920
In4 0.162 0.162 0.427
S1 0.018 0.616 0.373
S2 0.020 0.620 0.875
S3 0.081 0.081 0.864
S4 0.083 0.083 0.379
S5 0.099 0.249 0.864
S6 0.154 0.154 0.621
S7 0.155 0.155 0.117
S8 0.250 0.250 0.451
F1 0.051 0.746 0.246
F2 0.052 0.749 0.009
F3 0.152 0.652 0.000
F4 0.152 0.652 0.500
F5 0.153 0.654 0.750
F6 0.250 0.750 0.000
F7 0.250 0.750 0.250

[4]
Density functional theory data (PBE-GGA) for LuSiIr after structural relaxation.

CIF file:
```
data_LuSiIr
_cell_length_a 6.711
_cell_length_b 4.175
_cell_length_c 7.423
_cell_angle_alpha 90.00
_cell_angle_beta 90.00
_cell_angle_gamma 90.00
_symmetry_space_group_name_H-M 'P n m a'
_symmetry_Int_Tables_number 62
_symmetry_space_group_name_Hall '-P 2ac 2n'
loop_
_atom_site_label
_atom_site_fract_x
_atom_site_fract_y
_atom_site_fract_z
Lu1 0.006 0.250 0.187
Si1 0.206 0.750 0.386
Ir1 0.159 0.250 0.565
```

DFT formation energy readings, ordered: -234 -110 -258 -108 kJ per mole of atoms
Energy readings, ordered: -6.603 -6.098 -5.117 -7.380 eV/atom